First-principles (PBE-GGA) data for an optimized crystal structure of ThCo2P2, as listed in the Materials Project.

```
data_ThCo2P2
_chemical_formula_sum 'Th2 Co4 P4'
_space_group_name_H-M_alt 'P 4/n m m'
_space_group_IT_number 129
_cell_length_a 4.023
_cell_length_b 4.023
_cell_length_c 9.121
_cell_angle_alpha 90.00
_cell_angle_beta 90.00
_cell_angle_gamma 90.00
loop_
_space_group_symop_operation_xyz
'x,y,z'
'-x,-y,-z'
'-y+1/2,x,z'
'y+1/2,-x,-z'
'-x+1/2,-y+1/2,z'
'x+1/2,y+1/2,-z'
'y,-x+1/2,z'
'-y,x+1/2,-z'
'x+1/2,-y,-z'
'-x+1/2,y,z'
'-y,-x,-z'
'y,x,z'
'-x,y+1/2,-z'
'x,-y+1/2,z'
'y+1/2,x+1/2,-z'
'-y+1/2,-x+1/2,z'
loop_
_atom_site_label
_atom_site_type_symbol
_atom_site_fract_x
_atom_site_fract_y
_atom_site_fract_z
Th1 Th 0.250 0.250 0.249
Co1 Co 0.250 0.250 0.889
Co2 Co 0.250 0.750 0.500
P1 P 0.250 0.250 0.631
P2 P 0.250 0.750 0.000
```

- Total energy: -0.2777 Ha/atom
- Calculated formation energy: -1.06 eV per atom

---

First-principles (PBE-GGA) data for an optimized crystal structure of Th2Co3P3, as listed in the Materials Project.

```
data_Th2Co3P3
_chemical_formula_sum 'Th2 Co3 P3'
_space_group_name_H-M_alt 'P 4/m m m'
_space_group_IT_number 123
_space_group_name_Hall '-P 4 2'
_cell_length_a 5.384
_cell_length_b 5.384
_cell_length_c 17.847
_cell_angle_alpha 90.00
_cell_angle_beta 90.00
_cell_angle_gamma 90.00
loop_
_atom_site_label
_atom_site_type_symbol
_atom_site_fract_x
_atom_site_fract_y
_atom_site_fract_z
Th1 Th 0.000 0.000 0.235
Co1 Co 0.000 0.000 0.119
Co2 Co 0.000 0.000 0.500
P1 P 0.000 0.000 0.000
P2 P 0.000 0.000 0.379
```

- Total energy: -0.1865 Ha/atom
- Calculated formation energy: 1.47 eV per atom
- Total magnetic moment: 0.522 μB per atom

---

First-principles (PBE-GGA) data for an optimized crystal structure of Tm6Co30P19, as listed in the Materials Project.

```
data_Tm6Co30P19
_chemical_formula_sum 'Tm6 Co30 P19'
_space_group_name_H-M_alt 'P -6'
_space_group_IT_number 174
_cell_length_a 14.6356
_cell_length_b 14.6356
_cell_length_c 3.5581
_cell_angle_alpha 90.00
_cell_angle_beta 90.00
_cell_angle_gamma 120.00
loop_
_space_group_symop_operation_xyz
'x,y,z'
'-x+y,-x,-z'
'-y,x-y,z'
'x,y,-z'
'-x+y,-x,z'
'-y,x-y,-z'
loop_
_atom_site_label
_atom_site_type_symbol
_atom_site_fract_x
_atom_site_fract_y
_atom_site_fract_z
Tm1 Tm 0.0380 0.7647 0.0000
Tm2 Tm 0.4310 0.0598 0.5000
Co1 Co 0.0633 0.6229 0.5000
Co2 Co 0.0679 0.2500 0.5000
Co3 Co 0.1085 0.3919 0.0000
Co4 Co 0.1086 0.0152 0.0000
Co5 Co 0.1755 0.5363 0.5000
Co6 Co 0.2214 0.6911 0.0000
Co7 Co 0.2594 0.1299 0.5000
Co8 Co 0.4073 0.2016 0.0000
Co9 Co 0.4812 0.4004 0.0000
Co10 Co 0.5576 0.3183 0.5000
P1 P 0.0163 0.8988 0.5000
P2 P 0.0784 0.5317 0.0000
P3 P 0.1970 0.7871 0.5000
P4 P 0.2706 0.0372 0.0000
P5 P 0.3333 0.6667 0.5000
P6 P 0.3941 0.2954 0.5000
P7 P 0.5656 0.2138 0.0000
```

- Total energy: -0.2603 Ha/atom
- Calculated formation energy: -0.85 eV per atom
- Total magnetic moment: 0.127 μB per atom

---

First-principles (PBE-GGA) data for an optimized crystal structure of Tm5Co19P12, as listed in the Materials Project.

```
data_Tm5Co19P12
_chemical_formula_sum 'Tm5 Co19 P12'
_space_group_name_H-M_alt 'P -6 2 m'
_space_group_IT_number 189
_space_group_name_Hall 'P -6 -2'
_cell_length_a 11.9393
_cell_length_b 11.9393
_cell_length_c 3.6463
_cell_angle_alpha 90.00
_cell_angle_beta 90.00
_cell_angle_gamma 120.00
loop_
_atom_site_label
_atom_site_type_symbol
_atom_site_fract_x
_atom_site_fract_y
_atom_site_fract_z
Tm1 Tm 0.0000 0.8132 0.0000
Tm2 Tm 0.3333 0.6667 0.5000
Co1 Co 0.0000 0.0000 0.5000
Co2 Co 0.0000 0.2848 0.0000
Co3 Co 0.0000 0.4477 0.5000
Co4 Co 0.1258 0.6423 0.0000
Co5 Co 0.1781 0.3772 0.5000
P1 P 0.0000 0.1804 0.5000
P2 P 0.0000 0.6335 0.5000
P3 P 0.1664 0.4808 0.0000
```

- Total energy: -0.2602 Ha/atom
- Calculated formation energy: -0.90 eV per atom

---

First-principles (PBE-GGA) data for an optimized crystal structure of U2Co12P7, as listed in the Materials Project.

```
data_U2Co12P7
_chemical_formula_sum 'U2 Co12 P7'
_space_group_name_H-M_alt 'P -6'
_space_group_IT_number 174
_cell_length_a 8.9568
_cell_length_b 8.9568
_cell_length_c 3.5616
_cell_angle_alpha 90.00
_cell_angle_beta 90.00
_cell_angle_gamma 120.00
loop_
_space_group_symop_operation_xyz
'x,y,z'
'-x+y,-x,-z'
'-y,x-y,z'
'x,y,-z'
'-x+y,-x,z'
'-y,x-y,-z'
loop_
_atom_site_label
_atom_site_type_symbol
_atom_site_fract_x
_atom_site_fract_y
_atom_site_fract_z
U1 U 0.0000 0.0000 0.0000
U2 U 0.3333 0.6667 0.5000
Co1 Co 0.0486 0.7729 0.5000
Co2 Co 0.1091 0.3979 0.0000
Co3 Co 0.3937 0.2121 0.0000
Co4 Co 0.5384 0.1017 0.5000
P1 P 0.0658 0.6209 0.0000
P2 P 0.2685 0.0436 0.5000
P3 P 0.6667 0.3333 0.0000
```

- Total energy: -0.2800 Ha/atom
- Calculated formation energy: -0.68 eV per atom

---

First-principles (PBE-GGA) data for an optimized crystal structure of UCo2P2, as listed in the Materials Project.

```
data_UCo2P2
_chemical_formula_sum 'U2 Co4 P4'
_space_group_name_H-M_alt 'P 4/n m m'
_space_group_IT_number 129
_cell_length_a 3.934
_cell_length_b 3.934
_cell_length_c 8.854
_cell_angle_alpha 90.00
_cell_angle_beta 90.00
_cell_angle_gamma 90.00
loop_
_space_group_symop_operation_xyz
'x,y,z'
'-x,-y,-z'
'-y+1/2,x,z'
'y+1/2,-x,-z'
'-x+1/2,-y+1/2,z'
'x+1/2,y+1/2,-z'
'y,-x+1/2,z'
'-y,x+1/2,-z'
'x+1/2,-y,-z'
'-x+1/2,y,z'
'-y,-x,-z'
'y,x,z'
'-x,y+1/2,-z'
'x,-y+1/2,z'
'y+1/2,x+1/2,-z'
'-y+1/2,-x+1/2,z'
loop_
_atom_site_label
_atom_site_type_symbol
_atom_site_fract_x
_atom_site_fract_y
_atom_site_fract_z
U1 U 0.250 0.250 0.247
Co1 Co 0.250 0.250 0.888
Co2 Co 0.250 0.750 0.500
P1 P 0.250 0.250 0.635
P2 P 0.250 0.750 0.000
```

- Total energy: -0.2960 Ha/atom
- Calculated formation energy: -0.79 eV per atom